A relaxed BeH2O2 crystal, computed with meta-GGA r2SCAN.

The total moment comes out at 0.00 μB per cell. The calculated total energy is -6.477 eV per atom. As for the formation energy: -1.838 eV/atom.

The space group is P2_12_12_1 (No. 19) and the conventional cell measures 4.465, 4.611 and 6.959 Å, with angles of 90.00, 90.00 and 90.00 degrees. The inequivalent atoms are Be at (0.041, 0.193, 0.127), H at (0.141, 0.087, 0.786), H at (0.226, 0.406, 0.577), O at (0.160, 0.897, 0.227) and O at (0.175, 0.610, 0.555).